# 1
# HfMg14Cd PBE-GGA relaxed
data_HfMg14Cd
_chemical_formula_sum 'Hf2 Mg28 Cd2'
_cell_length_a 10.156
_cell_length_b 6.353
_cell_length_c 11.122
_cell_angle_alpha 90.00
_cell_angle_beta 90.00
_cell_angle_gamma 90.00
_symmetry_space_group_name_H-M 'A m m 2'
_symmetry_Int_Tables_number 38
loop_
_symmetry_equiv_pos_as_xyz
'x,y,z'
'-x,-y,z'
'-x,y,z'
'x,-y,z'
'x,y+1/2,z+1/2'
'-x,-y+1/2,z+1/2'
'-x,y+1/2,z+1/2'
'x,-y+1/2,z+1/2'
loop_
_atom_site_label
_atom_site_fract_x
_atom_site_fract_y
_atom_site_fract_z
Hf1 0.000 0.000 0.000
Mg1 0.000 0.247 0.250
Mg2 0.247 0.000 0.665
Mg3 0.248 0.247 0.916
Mg4 0.249 0.000 0.163
Mg5 0.500 0.000 0.498
Mg6 0.500 0.000 0.998
Mg7 0.500 0.250 0.248
Cd1 0.000 0.000 0.495
# Offset from the most stable computed form = 3 meV per atom
# DFT formation energy = 26.1 meV/atom
# Total magnetic moment = 0.01 μB per cell
# Electronic total energy = -2.054 eV/atom
# Crystal system = orthorhombic

***

# 2
# HfMg6CdO8 PBE-GGA relaxed
data_HfMg6CdO8
_chemical_formula_sum 'Hf1 Mg6 Cd1 O8'
_cell_length_a 4.462
_cell_length_b 4.462
_cell_length_c 9.079
_cell_angle_alpha 90.00
_cell_angle_beta 90.00
_cell_angle_gamma 90.00
_symmetry_space_group_name_H-M 'P 4/m m m'
_symmetry_Int_Tables_number 123
_symmetry_space_group_name_Hall '-P 4 2'
loop_
_atom_site_label
_atom_site_fract_x
_atom_site_fract_y
_atom_site_fract_z
Hf1 0.000 0.000 0.000
Mg1 0.000 0.500 0.260
Mg2 0.500 0.500 0.000
Mg3 0.500 0.500 0.500
Cd1 0.000 0.000 0.500
O1 0.000 0.000 0.226
O2 0.000 0.500 0.000
O3 0.000 0.500 0.500
O4 0.500 0.500 0.252
# Offset from the most stable computed form = 0 meV per atom
# DFT formation energy = -2603.5 meV/atom
# Total magnetic moment = 0.00 μB per cell
# Electronic total energy = -6.014 eV/atom
# Crystal system = tetragonal

***

# 3
# HfMg14CdO16 PBE-GGA relaxed
data_HfMg14CdO16
_chemical_formula_sum 'Hf1 Mg14 Cd1 O16'
_cell_length_a 8.773
_cell_length_b 8.773
_cell_length_c 4.350
_cell_angle_alpha 90.00
_cell_angle_beta 90.00
_cell_angle_gamma 90.00
_symmetry_space_group_name_H-M 'P 4/m m m'
_symmetry_Int_Tables_number 123
_symmetry_space_group_name_Hall '-P 4 2'
loop_
_atom_site_label
_atom_site_fract_x
_atom_site_fract_y
_atom_site_fract_z
Hf1 0.000 0.000 0.000
Mg1 0.000 0.260 0.500
Mg2 0.000 0.500 0.000
Mg3 0.248 0.500 0.500
Mg4 0.256 0.256 0.000
Cd1 0.500 0.500 0.000
O1 0.000 0.000 0.500
O2 0.000 0.245 0.000
O3 0.000 0.500 0.500
O4 0.225 0.500 0.000
O5 0.247 0.247 0.500
O6 0.500 0.500 0.500
# Offset from the most stable computed form = 0 meV per atom
# DFT formation energy = -2821.8 meV/atom
# Total magnetic moment = 0.66 μB per cell
# Electronic total energy = -5.992 eV/atom
# Crystal system = tetragonal

***

# 4
# HfMg6CdO8 PBE-GGA relaxed
data_HfMg6CdO8
_chemical_formula_sum 'Hf1 Mg6 Cd1 O8'
_cell_length_a 4.448
_cell_length_b 4.448
_cell_length_c 8.963
_cell_angle_alpha 90.00
_cell_angle_beta 90.00
_cell_angle_gamma 90.00
_symmetry_space_group_name_H-M 'P 4/m m m'
_symmetry_Int_Tables_number 123
_symmetry_space_group_name_Hall '-P 4 2'
loop_
_atom_site_label
_atom_site_fract_x
_atom_site_fract_y
_atom_site_fract_z
Hf1 0.000 0.000 0.000
Mg1 0.000 0.000 0.500
Mg2 0.000 0.500 0.265
Mg3 0.500 0.500 0.500
Cd1 0.500 0.500 0.000
O1 0.000 0.000 0.254
O2 0.000 0.500 0.000
O3 0.000 0.500 0.500
O4 0.500 0.500 0.274
# Offset from the most stable computed form = 4 meV per atom
# DFT formation energy = -2599.5 meV/atom
# Total magnetic moment = 1.09 μB per cell
# Electronic total energy = -6.010 eV/atom
# Crystal system = tetragonal

***

# 5
# HfMg14CdO16 PBE-GGA relaxed
data_HfMg14CdO16
_chemical_formula_sum 'Hf1 Mg14 Cd1 O16'
_cell_length_a 4.353
_cell_length_b 8.753
_cell_length_c 8.836
_cell_angle_alpha 90.00
_cell_angle_beta 90.00
_cell_angle_gamma 90.00
_symmetry_space_group_name_H-M 'P m m m'
_symmetry_Int_Tables_number 47
loop_
_symmetry_equiv_pos_as_xyz
'x,y,z'
'-x,-y,-z'
'-x,-y,z'
'x,y,-z'
'x,-y,-z'
'-x,y,z'
'-x,y,-z'
'x,-y,z'
loop_
_atom_site_label
_atom_site_fract_x
_atom_site_fract_y
_atom_site_fract_z
Hf1 0.000 0.000 0.000
Mg1 0.000 0.259 0.256
Mg2 0.000 0.500 0.000
Mg3 0.000 0.500 0.500
Mg4 0.500 0.000 0.260
Mg5 0.500 0.256 0.500
Mg6 0.500 0.259 0.000
Mg7 0.500 0.500 0.251
Cd1 0.000 0.000 0.500
O1 0.000 0.000 0.230
O2 0.000 0.253 0.000
O3 0.000 0.274 0.500
O4 0.000 0.500 0.243
O5 0.500 0.000 0.000
O6 0.500 0.000 0.500
O7 0.500 0.251 0.247
O8 0.500 0.500 0.000
O9 0.500 0.500 0.500
# Offset from the most stable computed form = 2 meV per atom
# DFT formation energy = -2819.5 meV/atom
# Total magnetic moment = 0.66 μB per cell
# Electronic total energy = -5.990 eV/atom
# Crystal system = orthorhombic

***

# 6
# HfCdO3 PBE-GGA relaxed
data_HfCdO3
_chemical_formula_sum 'Hf4 Cd4 O12'
_cell_length_a 5.717
_cell_length_b 8.046
_cell_length_c 5.557
_cell_angle_alpha 90.00
_cell_angle_beta 90.00
_cell_angle_gamma 90.00
_symmetry_space_group_name_H-M 'P n m a'
_symmetry_Int_Tables_number 62
loop_
_symmetry_equiv_pos_as_xyz
'x,y,z'
'-x,-y,-z'
'-x+1/2,-y,z+1/2'
'x+1/2,y,-z+1/2'
'x+1/2,-y+1/2,-z+1/2'
'-x+1/2,y+1/2,z+1/2'
'-x,y+1/2,-z'
'x,-y+1/2,z'
loop_
_atom_site_label
_atom_site_fract_x
_atom_site_fract_y
_atom_site_fract_z
Hf1 0.000 0.000 0.000
Cd1 0.045 0.250 0.489
O1 0.044 0.750 0.107
O2 0.196 0.557 0.692
# DFT formation energy = -2943.1 meV/atom
# Electronic total energy = -7.676 eV/atom
# Crystal system = orthorhombic

***

# 7
# HfCdO3 PBE-GGA relaxed
data_HfCdO3
_chemical_formula_sum 'Hf1 Cd1 O3'
_cell_length_a 4.098
_cell_length_b 4.098
_cell_length_c 4.098
_cell_angle_alpha 90.00
_cell_angle_beta 90.00
_cell_angle_gamma 90.00
_symmetry_space_group_name_H-M 'P m -3 m'
_symmetry_Int_Tables_number 221
_symmetry_space_group_name_Hall '-P 4 2 3'
loop_
_atom_site_label
_atom_site_fract_x
_atom_site_fract_y
_atom_site_fract_z
Hf1 0.000 0.000 0.000
Cd1 0.500 0.500 0.500
O1 0.000 0.000 0.500
# DFT formation energy = -2677.4 meV/atom
# Total magnetic moment = 0.00 μB per cell
# Electronic total energy = -7.410 eV/atom
# Crystal system = cubic

***

# 8
# Cd2Hg PBE-GGA relaxed
data_Cd2Hg
_chemical_formula_sum 'Cd4 Hg2'
_cell_length_a 4.044
_cell_length_b 4.044
_cell_length_c 8.845
_cell_angle_alpha 90.00
_cell_angle_beta 90.00
_cell_angle_gamma 90.00
_symmetry_space_group_name_H-M 'I 4/m m m'
_symmetry_Int_Tables_number 139
_symmetry_space_group_name_Hall '-I 4 2'
loop_
_atom_site_label
_atom_site_fract_x
_atom_site_fract_y
_atom_site_fract_z
Cd1 0.000 0.000 0.167
Hg1 0.000 0.000 0.500
# DFT formation energy = 15.1 meV/atom
# Electronic total energy = -0.701 eV/atom
# Crystal system = tetragonal

***

- Which of these has the lowest DFT formation energy?
  number 6

***

What did the sixth record say?
# HfCdO3 PBE-GGA relaxed
data_HfCdO3
_chemical_formula_sum 'Hf4 Cd4 O12'
_cell_length_a 5.717
_cell_length_b 8.046
_cell_length_c 5.557
_cell_angle_alpha 90.00
_cell_angle_beta 90.00
_cell_angle_gamma 90.00
_symmetry_space_group_name_H-M 'P n m a'
_symmetry_Int_Tables_number 62
loop_
_symmetry_equiv_pos_as_xyz
'x,y,z'
'-x,-y,-z'
'-x+1/2,-y,z+1/2'
'x+1/2,y,-z+1/2'
'x+1/2,-y+1/2,-z+1/2'
'-x+1/2,y+1/2,z+1/2'
'-x,y+1/2,-z'
'x,-y+1/2,z'
loop_
_atom_site_label
_atom_site_fract_x
_atom_site_fract_y
_atom_site_fract_z
Hf1 0.000 0.000 0.000
Cd1 0.045 0.250 0.489
O1 0.044 0.750 0.107
O2 0.196 0.557 0.692
# DFT formation energy = -2943.1 meV/atom
# Electronic total energy = -7.676 eV/atom
# Crystal system = orthorhombic